First-principles (r2SCAN) data for Ba3FeO5 after structural relaxation, as listed in Materials Project.

abc: 7.2877 8.3569 10.4889
angles: 90.00 90.00 90.00
Fractional coordinates of all 36 atoms:
Ba 0.5774 0.9751 0.6816
Ba 0.1211 0.7500 0.5285
Ba 0.4225 0.4751 0.3184
Ba 0.0775 0.0249 0.8184
Ba 0.4226 0.0249 0.3184
Ba 0.9226 0.5249 0.1816
Ba 0.9225 0.9751 0.1816
Ba 0.3789 0.7500 0.0285
Ba 0.5774 0.5249 0.6816
Ba 0.6211 0.2500 0.9715
Ba 0.0774 0.4751 0.8184
Ba 0.8789 0.2500 0.4715
O 0.2139 0.0561 0.5642
O 0.3403 0.2500 0.7644
O 0.7861 0.5561 0.4358
O 0.2861 0.4439 0.0642
O 0.5019 0.2500 0.4979
O 0.4981 0.7500 0.5021
O 0.8330 0.2500 0.7192
O 0.6597 0.7500 0.2356
O 0.2139 0.4439 0.5642
O 0.8403 0.7500 0.7356
O 0.1670 0.7500 0.2808
O 0.0019 0.7500 0.0021
O 0.7861 0.9439 0.4358
O 0.2861 0.0561 0.0642
O 0.6670 0.2500 0.2192
O 0.7139 0.5561 0.9358
O 0.3330 0.7500 0.7808
O 0.9981 0.2500 0.9979
O 0.1597 0.2500 0.2644
O 0.7139 0.9439 0.9358
Fe 0.3014 0.2500 0.5930
Fe 0.8014 0.7500 0.9070
Fe 0.6986 0.7500 0.4070
Fe 0.1986 0.2500 0.0930

Calculated values
As for the energy of formation: -2.46 eV per atom.


First-principles (r2SCAN) data for BaFeO3 after structural relaxation, as listed in Materials Project.

abc: 5.6445 5.6445 13.6905
angles: 90.00 90.00 120.00
Fractional coordinates of all 30 atoms:
Ba 0.0000 0.0000 0.2500
Ba 0.6667 0.3333 0.9095
Ba 0.6667 0.3333 0.5905
Ba 0.0000 0.0000 0.7500
Ba 0.3333 0.6667 0.0905
Ba 0.3333 0.6667 0.4095
Fe 0.3333 0.6667 0.8441
Fe 0.0000 0.0000 0.0001
Fe 0.6667 0.3333 0.1560
Fe 0.6667 0.3333 0.3440
Fe 0.0000 0.0000 0.4999
Fe 0.3333 0.6667 0.6559
O 0.5223 0.0445 0.2500
O 0.5223 0.4777 0.2500
O 0.8276 0.6552 0.0833
O 0.3448 0.1724 0.0833
O 0.9555 0.4777 0.2500
O 0.1724 0.8276 0.9167
O 0.8276 0.1724 0.4167
O 0.1724 0.3447 0.9167
O 0.4778 0.5222 0.7500
O 0.8276 0.6552 0.4167
O 0.6553 0.8276 0.5833
O 0.1724 0.3447 0.5833
O 0.4778 0.9556 0.7500
O 0.6553 0.8276 0.9167
O 0.3448 0.1724 0.4167
O 0.1724 0.8276 0.5833
O 0.8276 0.1724 0.0833
O 0.0444 0.5222 0.7500

Calculated values
As for the energy of formation: -2.21 eV per atom.


First-principles (r2SCAN) data for BaFe2O4 after structural relaxation, as listed in Materials Project.

abc: 10.5004 10.5004 5.4146
angles: 90.00 90.00 132.19
Fractional coordinates of all 28 atoms:
O 0.2616 0.1837 0.1045
O 0.2831 0.7170 0.1416
O 0.8163 0.7384 0.1045
O 0.4966 0.0792 0.0957
O 0.1837 0.2616 0.6045
O 0.3313 0.0782 0.6212
O 0.9208 0.5034 0.0956
O 0.0792 0.4966 0.5956
O 0.0782 0.3313 0.1212
O 0.6687 0.9218 0.1212
O 0.7170 0.2830 0.6416
O 0.9218 0.6687 0.6212
O 0.4500 0.5500 0.2589
O 0.5034 0.9208 0.5957
O 0.7384 0.8163 0.6045
O 0.5500 0.4500 0.7589
Ba 0.8680 0.1320 0.7350
Ba 0.1320 0.8680 0.2350
Ba 0.6174 0.3826 0.2753
Ba 0.3826 0.6174 0.7753
Fe 0.7646 0.6767 0.7685
Fe 0.2354 0.3233 0.2685
Fe 0.5012 0.0814 0.7473
Fe 0.3233 0.2354 0.7685
Fe 0.6767 0.7646 0.2685
Fe 0.4988 0.9186 0.2473
Fe 0.9186 0.4988 0.7473
Fe 0.0814 0.5012 0.2473

Calculated values
As for the energy of formation: -2.04 eV per atom.


First-principles (r2SCAN) data for BaFeO3 after structural relaxation, as listed in Materials Project.

abc: 3.9516 3.9516 3.9516
angles: 90.00 90.00 90.00
Fractional coordinates of all 5 atoms:
Ba 0.0000 0.0000 0.0000
O 0.5000 0.5000 0.0000
O 0.5000 0.0000 0.5000
O 0.0000 0.5000 0.5000
Fe 0.5000 0.5000 0.5000

Calculated values
As for the energy of formation: -2.16 eV per atom.


First-principles (r2SCAN) data for BaGa4 after structural relaxation, as listed in Materials Project.

abc: 4.5838 4.5838 6.2686
angles: 111.45 111.45 90.00
Fractional coordinates of all 5 atoms:
Ga 0.3779 0.3779 0.7558
Ga 0.6221 0.6221 0.2442
Ga 0.7500 0.2500 0.5000
Ga 0.2500 0.7500 0.5000
Ba 0.0000 0.0000 0.0000

Calculated values
As for the energy of formation: -0.48 eV per atom.


First-principles (r2SCAN) data for BaGaH5 after structural relaxation, as listed in Materials Project.

abc: 4.5870 5.0135 8.6256
angles: 90.15 90.00 90.00
Fractional coordinates of all 14 atoms:
Ba 0.7571 0.2456 0.3379
Ba 0.2571 0.7544 0.6621
H 0.7735 0.0109 0.7526
H 0.2724 0.4788 0.2289
H 0.7606 0.7465 0.4829
H 0.7724 0.5212 0.7711
H 0.2927 0.7604 0.9744
H 0.2606 0.2535 0.5171
H 0.3249 0.2558 0.8436
H 0.7927 0.2396 0.0256
H 0.2735 0.9891 0.2474
H 0.8249 0.7442 0.1564
Ga 0.6703 0.2565 0.8572
Ga 0.1703 0.7435 0.1428

Calculated values
As for the energy of formation: -0.32 eV per atom.


First-principles (r2SCAN) data for BaGaH5 after structural relaxation, as listed in Materials Project.

abc: 4.5858 5.0110 8.6655
angles: 90.00 90.00 90.00
Fractional coordinates of all 14 atoms:
H 0.2842 0.7505 0.9724
H 0.7750 0.9943 0.7643
H 0.2750 0.4931 0.2350
H 0.7842 0.2495 0.0276
H 0.2635 0.2501 0.5160
H 0.7750 0.5069 0.7650
H 0.8247 0.7497 0.1599
H 0.3247 0.2503 0.8401
H 0.2750 0.0057 0.2357
H 0.7635 0.7499 0.4840
Ga 0.1699 0.7498 0.1420
Ga 0.6699 0.2502 0.8580
Ba 0.2592 0.7501 0.6628
Ba 0.7592 0.2499 0.3372

Calculated values
As for the energy of formation: -0.32 eV per atom.


First-principles (r2SCAN) data for BaGaSiH after structural relaxation, as listed in Materials Project.

abc: 4.2771 4.2771 5.2847
angles: 90.00 90.00 120.00
Fractional coordinates of all 4 atoms:
Ba 0.0000 0.0000 0.0009
H 0.6667 0.3333 0.8714
Si 0.3333 0.6667 0.4586
Ga 0.6667 0.3333 0.5427

Calculated values
As for the energy of formation: -0.49 eV per atom.